(1)
Here is a relaxed structure of LiNbP4O12 from the Materials Project database. Energies are from PBE.

a = 10.5193 Å, b = 10.5193 Å, c = 5.4193 Å
α = 99.01°, β = 99.01°, γ = 70.17°
With the nearest neighbours (Å) after each atom.
Element x y z (fractional)
Li (0.0624, 0.0624, 0.1084)  2 O 2.06, 1 Li 2.24
Li (0.9376, 0.9376, 0.8916)  2 O 2.06, 1 Li 2.24
Nb (0.0000, 0.5000, 0.5000)  6 O 2.13-2.20
Nb (0.5000, 0.0000, 0.5000)  6 O 2.13-2.20
P (0.1321, 0.7201, 0.3219)  4 O 1.48-1.62
P (0.2005, 0.4392, 0.0370)  4 O 1.50-1.61
P (0.2799, 0.8679, 0.6781)  4 O 1.48-1.62
P (0.4392, 0.2005, 0.0370)  4 O 1.50-1.61
P (0.5608, 0.7995, 0.9630)  4 O 1.50-1.61
P (0.7201, 0.1321, 0.3219)  4 O 1.48-1.62
P (0.7995, 0.5608, 0.9630)  4 O 1.50-1.61
P (0.8679, 0.2799, 0.6781)  4 O 1.48-1.62
O (0.0495, 0.6799, 0.4846)  1 P 1.52
O (0.0657, 0.8404, 0.1815)  1 P 1.48
O (0.1096, 0.3975, 0.1728)  1 P 1.50
O (0.1596, 0.9343, 0.8185)  1 P 1.48
O (0.1776, 0.4237, 0.7534)  1 P 1.51
O (0.2033, 0.5900, 0.1312)  2 P 1.60-1.61
O (0.2669, 0.7331, 0.5000)  2 P 1.62
O (0.3201, 0.9505, 0.5154)  1 P 1.52
O (0.3572, 0.3572, 0.1196)  2 P 1.61
O (0.3975, 0.1096, 0.1728)  1 P 1.50
O (0.4100, 0.7967, 0.8688)  2 P 1.60-1.61
O (0.4237, 0.1776, 0.7534)  1 P 1.51
O (0.5763, 0.8224, 0.2466)  1 P 1.51
O (0.5900, 0.2033, 0.1312)  2 P 1.60-1.61
O (0.6025, 0.8904, 0.8272)  1 P 1.50
O (0.6428, 0.6428, 0.8804)  2 P 1.61
O (0.6799, 0.0495, 0.4846)  1 P 1.52
O (0.7331, 0.2669, 0.5000)  2 P 1.62
O (0.7967, 0.4100, 0.8688)  2 P 1.60-1.61
O (0.8224, 0.5763, 0.2466)  1 P 1.51
O (0.8404, 0.0657, 0.1815)  1 P 1.48
O (0.8904, 0.6025, 0.8272)  1 P 1.50
O (0.9343, 0.1596, 0.8185)  1 P 1.48
O (0.9505, 0.3201, 0.5154)  1 P 1.52

Energy of formation   -2569 meV per atom
Size of the total moment   2.00 μB per formula unit
Symmetry   No. 12
Polymorph energy (0 for the lowest one)   35 meV/atom



(2)
Here is a relaxed structure of Ga2Ir from the Materials Project database. Energies are from PBE.

a = 6.8587 Å, b = 6.8587 Å, c = 11.0072 Å
α = 90.00°, β = 90.00°, γ = 146.64°
With the nearest neighbours (Å) after each atom.
Element x y z (fractional)
Ga (0.0404, 0.9596, 0.7500)  5 Ir 2.48-2.75, 1 Ga 2.54
Ga (0.1785, 0.8215, 0.0176)  4 Ir 2.55-2.65, 4 Ga 2.70-2.75
Ga (0.1785, 0.8215, 0.4824)  4 Ir 2.55-2.65, 4 Ga 2.70-2.75
Ga (0.2337, 0.7663, 0.7500)  6 Ir 2.50-2.71, 1 Ga 2.54
Ga (0.4412, 0.5588, 0.6059)  4 Ir 2.62-2.79, 5 Ga 2.70-2.84
Ga (0.4412, 0.5588, 0.8941)  4 Ir 2.62-2.79, 5 Ga 2.70-2.84
Ga (0.5588, 0.4412, 0.1059)  4 Ir 2.62-2.79, 5 Ga 2.70-2.84
Ga (0.5588, 0.4412, 0.3941)  4 Ir 2.62-2.79, 5 Ga 2.70-2.84
Ga (0.7663, 0.2337, 0.2500)  6 Ir 2.50-2.71, 1 Ga 2.54
Ga (0.8215, 0.1785, 0.5176)  4 Ir 2.55-2.65, 4 Ga 2.70-2.75
Ga (0.8215, 0.1785, 0.9824)  4 Ir 2.55-2.65, 4 Ga 2.70-2.75
Ga (0.9596, 0.0404, 0.2500)  5 Ir 2.48-2.75, 1 Ga 2.54
Ir (0.1487, 0.8513, 0.2500)  5 Ga 2.48-2.59
Ir (0.3597, 0.6403, 0.1228)  9 Ga 2.55-2.75, 1 Ir 2.80
Ir (0.3597, 0.6403, 0.3772)  9 Ga 2.55-2.75, 1 Ir 2.80
Ir (0.6403, 0.3597, 0.6228)  9 Ga 2.55-2.75, 1 Ir 2.80
Ir (0.6403, 0.3597, 0.8772)  9 Ga 2.55-2.75, 1 Ir 2.80
Ir (0.8513, 0.1487, 0.7500)  5 Ga 2.48-2.59

Energy of formation   -451 meV per atom
Symmetry   No. 63



(3)
Here is a relaxed structure of Ba3P2S8 from the Materials Project database. Energies are from PBE.

a = 6.7331 Å, b = 6.7331 Å, c = 8.7879 Å
α = 90.00°, β = 90.00°, γ = 120.00°
With the nearest neighbours (Å) after each atom.
Element x y z (fractional)
Ba (0.0000, 0.0000, 0.0000)  6 S 3.36
Ba (0.3333, 0.6667, 0.3649)  10 S 3.11-3.44
Ba (0.6667, 0.3333, 0.6351)  10 S 3.11-3.44
P (0.3333, 0.6667, 0.7815)  4 S 2.02-2.06
P (0.6667, 0.3333, 0.2185)  4 S 2.02-2.06
S (0.1706, 0.3412, 0.6918)  1 P 2.06
S (0.1706, 0.8294, 0.6918)  1 P 2.06
S (0.3333, 0.6667, 0.0115)  1 P 2.02
S (0.3412, 0.1706, 0.3082)  1 P 2.06
S (0.6588, 0.8294, 0.6918)  1 P 2.06
S (0.6667, 0.3333, 0.9885)  1 P 2.02
S (0.8294, 0.1706, 0.3082)  1 P 2.06
S (0.8294, 0.6588, 0.3082)  1 P 2.06

Energy of formation   -1557 meV per atom
Symmetry   No. 164
Polymorph energy (0 for the lowest one)   11 meV/atom



(4)
Here is a relaxed structure of BaCaNdBiO6 from the Materials Project database. Energies are from PBE.

a = 6.0652 Å, b = 6.1691 Å, c = 8.6903 Å
α = 89.91°, β = 89.58°, γ = 89.81°
With the nearest neighbours (Å) after each atom.
Element x y z (fractional)
Ba (0.0067, 0.0395, 0.2494)  7 O 2.66-2.97
Ba (0.9933, 0.9605, 0.7506)  7 O 2.66-2.97
Ca (0.4892, 0.5399, 0.2465)  4 O 2.39-2.46
Ca (0.5108, 0.4601, 0.7535)  4 O 2.39-2.46
Nd (0.0000, 0.5000, 0.0000)  6 O 2.31-2.40
Nd (0.5000, 0.0000, 0.5000)  6 O 2.33-2.39
Bi (0.0000, 0.5000, 0.5000)  6 O 2.13-2.19
Bi (0.5000, 0.0000, 0.0000)  6 O 2.13-2.18
O (0.1210, 0.5106, 0.7364)  1 Bi 2.19, 1 Ca 2.39, 1 Nd 2.40
O (0.1939, 0.7818, 0.4567)  1 Bi 2.13, 1 Nd 2.33
O (0.2147, 0.8042, 0.0336)  1 Bi 2.13, 1 Nd 2.31
O (0.2865, 0.3115, 0.4316)  1 Bi 2.17, 1 Nd 2.39
O (0.3189, 0.2926, 0.0634)  1 Bi 2.18, 1 Nd 2.38
O (0.4266, 0.0707, 0.7626)  1 Bi 2.16, 1 Nd 2.36
O (0.5734, 0.9293, 0.2374)  1 Bi 2.16, 1 Nd 2.36
O (0.6811, 0.7074, 0.9366)  1 Bi 2.18, 1 Nd 2.38
O (0.7135, 0.6885, 0.5684)  1 Bi 2.17, 1 Nd 2.39
O (0.7853, 0.1958, 0.9664)  1 Bi 2.13, 1 Nd 2.31
O (0.8061, 0.2182, 0.5433)  1 Bi 2.13, 1 Nd 2.33
O (0.8790, 0.4894, 0.2636)  1 Bi 2.19, 1 Ca 2.39, 1 Nd 2.40

Energy of formation   -2742 meV per atom
Size of the total moment   0.00 μB per formula unit
Symmetry   No. 2
Polymorph energy (0 for the lowest one)   0 meV/atom